# Na3LaZrSiP2O12, relaxed, DFT GGA-PBE
data_Na3LaZrSiP2O12
_space_group_name_H-M_alt 'P 1'
_space_group_IT_number 1
_cell_length_a 16.330
_cell_length_b 9.484
_cell_length_c 9.477
_cell_angle_alpha 90.00
_cell_angle_beta 125.35
_cell_angle_gamma 90.00
loop_
_space_group_symop_operation_xyz
'x,y,z'
loop_
_atom_site_label
_atom_site_type_symbol
_atom_site_fract_x
_atom_site_fract_y
_atom_site_fract_z
_atom_site_occupancy
Na1 Na 0.255 0.720 0.009 1
Na2 Na 0.755 0.780 0.509 1
Na3 Na 0.755 0.220 0.009 1
Na4 Na 0.255 0.280 0.509 1
Na5 Na 0.508 0.083 0.759 1
Na6 Na 0.508 0.917 0.259 1
Na7 Na 0.008 0.583 0.759 1
Na8 Na 0.008 0.417 0.259 1
Na9 Na 0.184 0.923 0.304 1
Na10 Na 0.184 0.077 0.804 1
Na11 Na 0.684 0.423 0.304 1
Na12 Na 0.684 0.577 0.804 1
La1 La 0.107 0.745 0.567 1
La2 La 0.107 0.255 0.067 1
La3 La 0.607 0.245 0.567 1
La4 La 0.607 0.755 0.067 1
Zr1 Zr 0.898 0.759 0.942 1
Zr2 Zr 0.898 0.241 0.442 1
Zr3 Zr 0.398 0.259 0.942 1
Zr4 Zr 0.398 0.741 0.442 1
Si1 Si 0.650 0.883 0.741 1
Si2 Si 0.650 0.117 0.241 1
Si3 Si 0.150 0.383 0.741 1
Si4 Si 0.150 0.617 0.241 1
P1 P 0.991 0.954 0.755 1
P2 P 0.991 0.046 0.255 1
P3 P 0.491 0.454 0.755 1
P4 P 0.491 0.546 0.255 1
P5 P 0.353 0.923 0.748 1
P6 P 0.353 0.077 0.248 1
P7 P 0.853 0.423 0.748 1
P8 P 0.853 0.577 0.248 1
O1 O 0.158 0.554 0.759 1
O2 O 0.855 0.589 0.744 1
O3 O 0.855 0.411 0.244 1
O4 O 0.158 0.446 0.259 1
O5 O 0.658 0.054 0.759 1
O6 O 0.355 0.089 0.744 1
O7 O 0.355 0.911 0.244 1
O8 O 0.658 0.946 0.259 1
O9 O 0.436 0.560 0.596 1
O10 O 0.553 0.537 0.923 1
O11 O 0.553 0.463 0.423 1
O12 O 0.436 0.440 0.096 1
O13 O 0.936 0.060 0.596 1
O14 O 0.053 0.037 0.923 1
O15 O 0.053 0.963 0.423 1
O16 O 0.936 0.940 0.096 1
O17 O 0.261 0.880 0.748 1
O18 O 0.745 0.805 0.751 1
O19 O 0.745 0.195 0.251 1
O20 O 0.261 0.120 0.248 1
O21 O 0.761 0.380 0.748 1
O22 O 0.245 0.305 0.751 1
O23 O 0.245 0.695 0.251 1
O24 O 0.761 0.620 0.248 1
O25 O 0.350 0.870 0.587 1
O26 O 0.651 0.816 0.898 1
O27 O 0.651 0.184 0.398 1
O28 O 0.350 0.130 0.087 1
O29 O 0.850 0.370 0.587 1
O30 O 0.151 0.316 0.898 1
O31 O 0.151 0.684 0.398 1
O32 O 0.850 0.630 0.087 1
O33 O 0.450 0.873 0.915 1
O34 O 0.541 0.828 0.561 1
O35 O 0.541 0.172 0.061 1
O36 O 0.450 0.127 0.415 1
O37 O 0.950 0.373 0.915 1
O38 O 0.041 0.328 0.561 1
O39 O 0.041 0.672 0.061 1
O40 O 0.950 0.627 0.415 1
O41 O 0.063 0.857 0.743 1
O42 O 0.911 0.861 0.750 1
O43 O 0.911 0.139 0.250 1
O44 O 0.063 0.143 0.243 1
O45 O 0.563 0.357 0.743 1
O46 O 0.411 0.361 0.750 1
O47 O 0.411 0.639 0.250 1
O48 O 0.563 0.643 0.243 1
# volume: 1197.25 Å³/cell
# energy relative to the elements: -3.05 eV per atom
# excess energy over the best structure of this formula in the dataset: 3.0 meV/atom